A geometry-optimized BaSmEuBiO6 structure, computed with PBE.

Lattice parameters (Å, degrees): 6.1909 6.1909 6.1909 60.00 60.00 60.00
Last column: nearest neighbours and their distance in Å.
Fractional coordinates of all 10 atoms:
Bi 0.0000 0.0000 0.0000  6 O 2.12
Ba 0.7500 0.7500 0.7500  12 O 3.10
O 0.7580 0.2420 0.7580  1 Bi 2.12, 1 Sm 2.26
O 0.2420 0.7580 0.7580  1 Bi 2.12, 1 Sm 2.26
O 0.2420 0.2420 0.7580  1 Bi 2.12, 1 Sm 2.26
O 0.7580 0.2420 0.2420  1 Bi 2.12, 1 Sm 2.26
O 0.2420 0.7580 0.2420  1 Bi 2.12, 1 Sm 2.26
O 0.7580 0.7580 0.2420  1 Bi 2.12, 1 Sm 2.26
Eu 0.2500 0.2500 0.2500  12 O 3.10
Sm 0.5000 0.5000 0.5000  6 O 2.26

## Properties
Final energy ... -7.33 eV/atom
Excess energy over the best structure of this formula in the dataset ... 102 meV per atom

A geometry-optimized EuMgSn structure, computed with PBE.

Lattice parameters (Å, degrees): 4.8914 8.0444 8.7905 90.00 90.00 90.00
Last column: nearest neighbours and their distance in Å.
Fractional coordinates of all 12 atoms:
Sn 0.7500 0.2242 0.1064  4 Mg 2.95-3.05
Sn 0.2500 0.7758 0.8936  4 Mg 2.95-3.05
Sn 0.7500 0.7242 0.3936  4 Mg 2.95-3.05
Sn 0.2500 0.2758 0.6064  4 Mg 2.95-3.05
Eu 0.2500 0.5106 0.1918  5 Sn 3.38-3.48, 4 Mg 3.48-3.68
Eu 0.7500 0.9894 0.6918  5 Sn 3.38-3.48, 4 Mg 3.48-3.68
Eu 0.7500 0.4894 0.8082  5 Sn 3.38-3.48, 4 Mg 3.48-3.68
Eu 0.2500 0.0106 0.3082  5 Sn 3.38-3.48, 4 Mg 3.48-3.68
Mg 0.7500 0.3471 0.4301  4 Sn 2.95-3.05
Mg 0.2500 0.1529 0.9301  4 Sn 2.95-3.05
Mg 0.7500 0.8471 0.0699  4 Sn 2.95-3.05
Mg 0.2500 0.6529 0.5699  4 Sn 2.95-3.05

## Properties
Final energy ... -5.87 eV/atom

A geometry-optimized Dy3TaO7 structure, computed with PBE.

Lattice parameters (Å, degrees): 5.3568 7.5942 8.1487 62.29 90.00 90.00
Last column: nearest neighbours and their distance in Å.
Fractional coordinates of all 22 atoms:
O 0.2634 0.6592 0.7448  1 Ta 2.16, 2 Dy 2.26
O 0.2778 0.0008 0.4775  1 Ta 2.00, 1 Dy 2.08
O 0.7342 0.8999 0.2617  1 Ta 2.14, 2 Dy 2.27-2.30
O 0.7222 0.5008 0.4775  1 Ta 2.00, 1 Dy 2.08
O 0.2696 0.8351 0.2643  1 Ta 2.14, 2 Dy 2.27-2.28
O 0.7448 0.7468 0.0002  4 Dy 2.25-2.32
O 0.2879 0.4823 0.5237  1 Ta 2.02, 1 Dy 2.09
O 0.2705 0.1037 0.7308  1 Ta 2.13, 2 Dy 2.29-2.30
O 0.2552 0.2468 0.0002  4 Dy 2.25-2.32
O 0.7121 0.9823 0.5237  1 Ta 2.02, 1 Dy 2.09
O 0.7366 0.1592 0.7448  1 Ta 2.16, 2 Dy 2.26
O 0.7295 0.6037 0.7308  1 Ta 2.13, 2 Dy 2.29-2.30
O 0.7304 0.3351 0.2643  1 Ta 2.14, 2 Dy 2.27-2.28
O 0.2658 0.3999 0.2617  1 Ta 2.14, 2 Dy 2.27-2.30
Dy 0.5041 0.4966 0.9998  6 O 2.26-2.32
Dy 0.9771 0.6194 0.2599  4 O 2.08-2.28
Dy 0.4959 0.9966 0.9998  6 O 2.26-2.32
Dy 0.9750 0.8804 0.7383  4 O 2.09-2.30
Dy 0.0250 0.3804 0.7383  4 O 2.09-2.30
Dy 0.0229 0.1194 0.2599  4 O 2.08-2.28
Ta 0.5041 0.2776 0.4996  6 O 2.00-2.16
Ta 0.4959 0.7776 0.4996  6 O 2.00-2.16

## Properties
Final energy ... -8.66 eV/atom
Excess energy over the best structure of this formula in the dataset ... 252 meV per atom

A geometry-optimized BaSm3 structure, computed with PBE.

Lattice parameters (Å, degrees): 5.3458 5.3458 5.3458 90.00 90.00 90.00
Last column: nearest neighbours and their distance in Å.
Fractional coordinates of all 4 atoms:
Sm 0.5000 0.5000 0.0000  8 Sm 3.78, 4 Ba 3.78
Sm 0.0000 0.5000 0.5000  8 Sm 3.78, 4 Ba 3.78
Sm 0.5000 0.0000 0.5000  8 Sm 3.78, 4 Ba 3.78
Ba 0.0000 0.0000 0.0000  12 Sm 3.78

## Properties
Final energy ... -3.81 eV/atom